No. 1
# PBE CsH3, relaxed
data_CsH3
_cell_length_a 6.3483
_cell_length_b 6.3483
_cell_length_c 11.8099
_cell_angle_alpha 90.00
_cell_angle_beta 90.00
_cell_angle_gamma 120.00
_symmetry_space_group_name_H-M 'R -3 c'
_symmetry_Int_Tables_number 167
_symmetry_space_group_name_Hall '-R 3 2"c'
loop_
_atom_site_label
_atom_site_type_symbol
_atom_site_fract_x
_atom_site_fract_y
_atom_site_fract_z
Cs1 Cs 0.0000 0.0000 0.0000
H1 H 0.0000 0.1128 0.2500
# - total magnetization (μB/atom) = 0.000


No. 2
Here is CsH after structural relaxation from the Materials Project. Energies are from PBE.

```
data_CsH
_cell_length_a 3.859
_cell_length_b 3.859
_cell_length_c 3.859
_cell_angle_alpha 90.00
_cell_angle_beta 90.00
_cell_angle_gamma 90.00
_symmetry_space_group_name_H-M 'P m -3 m'
_symmetry_Int_Tables_number 221
_symmetry_space_group_name_Hall '-P 4 2 3'
loop_
_atom_site_label
_atom_site_type_symbol
_atom_site_fract_x
_atom_site_fract_y
_atom_site_fract_z
Cs1 Cs 0.000 0.000 0.000
H1 H 0.500 0.500 0.500
```


No. 3
# PBE Cs2Hg3H2I8O, relaxed
data_Cs2Hg3H2I8O
_cell_length_a 7.800
_cell_length_b 22.680
_cell_length_c 8.092
_cell_angle_alpha 90.00
_cell_angle_beta 108.10
_cell_angle_gamma 90.00
_symmetry_space_group_name_H-M 'C 1 m 1'
_symmetry_Int_Tables_number 8
_symmetry_space_group_name_Hall 'C -2y'
loop_
_atom_site_label
_atom_site_type_symbol
_atom_site_fract_x
_atom_site_fract_y
_atom_site_fract_z
Cs1 Cs 0.000 0.124 0.000
Hg1 Hg 0.143 0.306 0.369
Hg2 Hg 0.254 0.500 0.443
H1 H 0.161 0.000 0.317
H2 H 0.301 0.000 0.218
I1 I 0.035 0.195 0.501
I2 I 0.054 0.401 0.554
I3 I 0.100 0.000 0.668
I4 I 0.138 0.500 0.085
I5 I 0.497 0.195 0.012
O1 O 0.171 0.000 0.199
# - total magnetization (μB/atom) = 0.000


No. 4
# PBE CsKTeH6SO10, relaxed
data_CsKTeH6SO10
_cell_length_a 12.715
_cell_length_b 6.709
_cell_length_c 15.334
_cell_angle_alpha 90.00
_cell_angle_beta 126.04
_cell_angle_gamma 90.00
_symmetry_space_group_name_H-M 'P 1 c 1'
_symmetry_Int_Tables_number 7
_symmetry_space_group_name_Hall 'P -2yc'
loop_
_atom_site_label
_atom_site_type_symbol
_atom_site_fract_x
_atom_site_fract_y
_atom_site_fract_z
Cs1 Cs 0.000 0.021 0.000
Cs2 Cs 0.005 0.477 0.275
K1 K 0.465 0.463 0.484
K2 K 0.536 0.041 0.794
Te1 Te 0.291 0.493 0.654
Te2 Te 0.713 0.004 0.623
H1 H 0.052 0.491 0.567
H2 H 0.255 0.235 0.521
H3 H 0.258 0.284 0.006
H4 H 0.297 0.187 0.246
H5 H 0.311 0.232 0.777
H6 H 0.478 0.051 0.052
H7 H 0.528 0.453 0.227
H8 H 0.690 0.272 0.501
H9 H 0.706 0.312 0.029
H10 H 0.747 0.225 0.268
H11 H 0.752 0.256 0.760
H12 H 0.950 0.016 0.706
S1 S 0.227 0.002 0.868
S2 S 0.777 0.498 0.910
O1 O 0.093 0.053 0.832
O2 O 0.130 0.489 0.144
O3 O 0.199 0.366 0.016
O4 O 0.235 0.014 0.774
O5 O 0.240 0.238 0.579
O6 O 0.262 0.203 0.414
O7 O 0.322 0.150 0.953
O8 O 0.360 0.263 0.240
O9 O 0.370 0.345 0.789
O10 O 0.450 0.480 0.662
O11 O 0.556 0.012 0.618
O12 O 0.630 0.162 0.490
O13 O 0.641 0.233 0.032
O14 O 0.682 0.357 0.324
O15 O 0.742 0.291 0.866
O16 O 0.769 0.253 0.704
O17 O 0.771 0.486 0.504
O18 O 0.806 0.148 0.257
O19 O 0.872 0.007 0.130
O20 O 0.911 0.452 0.444
# - total magnetization (μB/atom) = 0.000


No. 5
# PBE CsLiH4N2, relaxed
data_CsLiH4N2
_cell_length_a 6.5028
_cell_length_b 6.5028
_cell_length_c 8.5108
_cell_angle_alpha 90.00
_cell_angle_beta 90.00
_cell_angle_gamma 120.00
_symmetry_space_group_name_H-M 'P 62 2 2'
_symmetry_Int_Tables_number 180
_symmetry_space_group_name_Hall 'P 62 2 (0 0 4)'
loop_
_atom_site_label
_atom_site_type_symbol
_atom_site_fract_x
_atom_site_fract_y
_atom_site_fract_z
Cs1 Cs 0.0000 0.5000 0.1667
Li1 Li 0.0000 0.0000 0.0000
H1 H 0.0882 0.3941 0.5453
N1 N 0.1406 0.2812 0.5000
# - total magnetization (μB/atom) = 0.000
# - piezoelectric modulus e_max (C/m²) = 0.41


No. 6
Here is Cs4Mg3H10 after structural relaxation from the Materials Project. Energies are from PBE.

```
data_Cs4Mg3H10
_cell_length_a 6.268
_cell_length_b 14.669
_cell_length_c 13.809
_cell_angle_alpha 90.00
_cell_angle_beta 90.00
_cell_angle_gamma 90.00
_symmetry_space_group_name_H-M 'C m c e'
_symmetry_Int_Tables_number 64
_symmetry_space_group_name_Hall '-C 2ac 2'
loop_
_atom_site_label
_atom_site_type_symbol
_atom_site_fract_x
_atom_site_fract_y
_atom_site_fract_z
Cs1 Cs 0.000 0.047 0.139
Cs2 Cs 0.000 0.247 0.395
Mg1 Mg 0.000 0.000 0.500
Mg2 Mg 0.000 0.116 0.657
H1 H 0.000 0.025 0.359
H2 H 0.000 0.245 0.651
H3 H 0.205 0.096 0.539
H4 H 0.250 0.104 0.750
```


No. 7
# PBE Cs3MgH5, relaxed
data_Cs3MgH5
_cell_length_a 8.433
_cell_length_b 8.433
_cell_length_c 12.841
_cell_angle_alpha 90.00
_cell_angle_beta 90.00
_cell_angle_gamma 90.00
_symmetry_space_group_name_H-M 'P 4/n c c'
_symmetry_Int_Tables_number 130
loop_
_symmetry_equiv_pos_as_xyz
'x,y,z'
'-x,-y,-z'
'-y+1/2,x,z'
'y+1/2,-x,-z'
'-x+1/2,-y+1/2,z'
'x+1/2,y+1/2,-z'
'y,-x+1/2,z'
'-y,x+1/2,-z'
'x+1/2,-y,-z+1/2'
'-x+1/2,y,z+1/2'
'-y,-x,-z+1/2'
'y,x,z+1/2'
'-x,y+1/2,-z+1/2'
'x,-y+1/2,z+1/2'
'y+1/2,x+1/2,-z+1/2'
'-y+1/2,-x+1/2,z+1/2'
loop_
_atom_site_label
_atom_site_type_symbol
_atom_site_fract_x
_atom_site_fract_y
_atom_site_fract_z
Cs1 Cs 0.070 0.570 0.250
Cs2 Cs 0.250 0.250 0.004
Mg1 Mg 0.250 0.750 0.000
H1 H 0.116 0.635 0.912
H2 H 0.250 0.250 0.259
# - total magnetization (μB/atom) = 0.000


No. 8
Here is Cs3MgH5 after structural relaxation from the Materials Project. Energies are from PBE.

```
data_Cs3MgH5
_cell_length_a 8.437
_cell_length_b 8.437
_cell_length_c 12.782
_cell_angle_alpha 90.00
_cell_angle_beta 90.00
_cell_angle_gamma 90.00
_symmetry_space_group_name_H-M 'I 4/m c m'
_symmetry_Int_Tables_number 140
_symmetry_space_group_name_Hall '-I 4 2c'
loop_
_atom_site_label
_atom_site_type_symbol
_atom_site_fract_x
_atom_site_fract_y
_atom_site_fract_z
Cs1 Cs 0.000 0.000 0.250
Cs2 Cs 0.182 0.318 0.000
Mg1 Mg 0.000 0.500 0.250
H1 H 0.000 0.000 0.000
H2 H 0.125 0.375 0.338
```


No. 9
# PBE Cs6MgNp2H16O18, relaxed
data_Cs6MgNp2H16O18
_cell_length_a 13.058
_cell_length_b 12.138
_cell_length_c 8.097
_cell_angle_alpha 90.00
_cell_angle_beta 93.86
_cell_angle_gamma 90.00
_symmetry_space_group_name_H-M 'C 1 2 1'
_symmetry_Int_Tables_number 5
_symmetry_space_group_name_Hall 'C 2y'
loop_
_atom_site_label
_atom_site_type_symbol
_atom_site_fract_x
_atom_site_fract_y
_atom_site_fract_z
Cs1 Cs 0.000 0.000 0.000
Cs2 Cs 0.000 0.105 0.500
Cs3 Cs 0.203 0.431 0.746
Cs4 Cs 0.210 0.619 0.212
Mg1 Mg 0.000 0.762 0.500
Np1 Np 0.247 0.274 0.253
H1 H 0.010 0.277 0.840
H2 H 0.037 0.469 0.080
H3 H 0.042 0.551 0.569
H4 H 0.049 0.832 0.232
H5 H 0.060 0.658 0.770
H6 H 0.068 0.401 0.316
H7 H 0.101 0.217 0.954
H8 H 0.154 0.899 0.504
O1 O 0.000 0.497 0.500
O2 O 0.000 0.523 0.000
O3 O 0.069 0.225 0.840
O4 O 0.087 0.829 0.339
O5 O 0.091 0.376 0.209
O6 O 0.091 0.669 0.665
O7 O 0.175 0.918 0.620
O8 O 0.183 0.149 0.126
O9 O 0.198 0.829 0.942
O10 O 0.201 0.228 0.457
# - total magnetization (μB/atom) = 0.047


No. 10
# PBE Cs2MgP4H8O16, relaxed
data_Cs2MgP4H8O16
_cell_length_a 7.081
_cell_length_b 7.529
_cell_length_c 8.033
_cell_angle_alpha 83.51
_cell_angle_beta 68.93
_cell_angle_gamma 87.69
_symmetry_space_group_name_H-M 'P -1'
_symmetry_Int_Tables_number 2
_symmetry_space_group_name_Hall '-P 1'
loop_
_atom_site_label
_atom_site_type_symbol
_atom_site_fract_x
_atom_site_fract_y
_atom_site_fract_z
Cs1 Cs 0.090 0.201 0.279
Mg1 Mg 0.500 0.000 0.500
P1 P 0.221 0.305 0.751
P2 P 0.374 0.751 0.237
H1 H 0.107 0.749 0.089
H2 H 0.272 0.527 0.452
H3 H 0.370 0.677 0.702
H4 H 0.389 0.802 0.844
O1 O 0.022 0.302 0.922
O2 O 0.237 0.148 0.645
O3 O 0.257 0.490 0.646
O4 O 0.274 0.563 0.323
O5 O 0.305 0.816 0.082
O6 O 0.335 0.874 0.382
O7 O 0.384 0.282 0.854
O8 O 0.425 0.791 0.714
# - total magnetization (μB/atom) = 0.000


No. 11
# PBE Cs2MgH12S2O14, relaxed
data_Cs2MgH12S2O14
_cell_length_a 6.421
_cell_length_b 12.970
_cell_length_c 9.394
_cell_angle_alpha 90.00
_cell_angle_beta 106.66
_cell_angle_gamma 90.00
_symmetry_space_group_name_H-M 'P 1 21/c 1'
_symmetry_Int_Tables_number 14
_symmetry_space_group_name_Hall '-P 2ybc'
loop_
_atom_site_label
_atom_site_type_symbol
_atom_site_fract_x
_atom_site_fract_y
_atom_site_fract_z
Cs1 Cs 0.148 0.143 0.373
Mg1 Mg 0.500 0.000 0.000
H1 H 0.163 0.561 0.599
H2 H 0.182 0.100 0.787
H3 H 0.186 0.639 0.477
H4 H 0.416 0.131 0.765
H5 H 0.428 0.597 0.225
H6 H 0.484 0.683 0.349
S1 S 0.241 0.649 0.896
O1 O 0.103 0.585 0.770
O2 O 0.111 0.739 0.918
O3 O 0.208 0.565 0.507
O4 O 0.303 0.584 0.033
O5 O 0.340 0.109 0.838
O6 O 0.441 0.685 0.857
O7 O 0.493 0.109 0.169
# - total magnetization (μB/atom) = 0.000


Number 1: E (MP2020) -0.15493 Ry per atom, energy of formation from the pure elements 0.660 eV/atom. Number 2: E (MP2020) -0.17013 Ry per atom, energy of formation from the pure elements -0.171 eV/atom. Number 3: E (MP2020) -0.18194 Ry per atom, energy of formation from the pure elements -0.811 eV/atom. Number 4: E (MP2020) -0.41269 Ry per atom, energy of formation from the pure elements -1.659 eV/atom. Number 5: E (MP2020) -0.34145 Ry per atom, energy of formation from the pure elements -0.515 eV/atom. Number 6: E (MP2020) -0.20740 Ry per atom, energy of formation from the pure elements -0.333 eV/atom. Number 7: E (MP2020) -0.19531 Ry per atom, energy of formation from the pure elements -0.296 eV/atom. Number 8: E (MP2020) -0.19533 Ry per atom, energy of formation from the pure elements -0.296 eV/atom. Number 9: E (MP2020) -0.43925 Ry per atom, energy of formation from the pure elements -1.878 eV/atom. Number 10: E (MP2020) -0.47453 Ry per atom, energy of formation from the pure elements -2.219 eV/atom. Number 11: E (MP2020) -0.41583 Ry per atom, energy of formation from the pure elements -1.734 eV/atom.